Entry 1:
DFT (r²SCAN) results for a relaxed Zr6FeCl14 crystal.

As for the size of the total moment: 0.00 μB/f.u. The symmetry is No. 64. For the formation enthalpy at 0 K, the calculation gives -1885 meV per atom.

Cell: 9.737 9.737 11.850 Å, 90.00 90.00 96.46°
Fractional coordinates of all 42 atoms:
Zr (0.048, 0.807, 0.381)
Zr (0.847, 0.847, 0.612)
Zr (0.153, 0.153, 0.388)
Zr (0.347, 0.347, 0.888)
Zr (0.452, 0.693, 0.881)
Zr (0.653, 0.653, 0.112)
Zr (0.193, 0.952, 0.619)
Zr (0.307, 0.548, 0.119)
Zr (0.548, 0.307, 0.119)
Zr (0.952, 0.193, 0.619)
Zr (0.807, 0.048, 0.381)
Zr (0.693, 0.452, 0.881)
Fe (0.000, 0.000, 0.500)
Fe (0.500, 0.500, 0.000)
Cl (0.364, 0.118, 0.508)
Cl (0.097, 0.597, 0.250)
Cl (0.249, 0.751, 0.500)
Cl (0.251, 0.749, 0.000)
Cl (0.751, 0.249, 0.500)
Cl (0.749, 0.251, 0.000)
Cl (0.842, 0.842, 0.242)
Cl (0.658, 0.658, 0.742)
Cl (0.342, 0.342, 0.258)
Cl (0.158, 0.158, 0.758)
Cl (0.597, 0.097, 0.250)
Cl (0.903, 0.403, 0.750)
Cl (0.964, 0.209, 0.253)
Cl (0.536, 0.291, 0.753)
Cl (0.382, 0.136, 0.008)
Cl (0.791, 0.036, 0.747)
Cl (0.036, 0.791, 0.747)
Cl (0.464, 0.709, 0.247)
Cl (0.291, 0.536, 0.753)
Cl (0.209, 0.964, 0.253)
Cl (0.136, 0.382, 0.008)
Cl (0.709, 0.464, 0.247)
Cl (0.882, 0.636, 0.492)
Cl (0.618, 0.864, 0.992)
Cl (0.864, 0.618, 0.992)
Cl (0.636, 0.882, 0.492)
Cl (0.118, 0.364, 0.508)
Cl (0.403, 0.903, 0.750)

---

Entry 2:
DFT (r²SCAN) results for a relaxed Ga3Cl7 crystal.

As for the size of the total moment: 0.00 μB/f.u. The symmetry is No. 33. For the formation enthalpy at 0 K, the calculation gives -1150 meV per atom.

Cell: 8.917 10.547 12.002 Å, 90.00 90.00 90.00°
Fractional coordinates of all 40 atoms:
Ga (0.861, 0.158, 0.408)
Ga (0.070, 0.996, 0.677)
Ga (0.430, 0.996, 0.177)
Ga (0.619, 0.759, 0.618)
Ga (0.930, 0.496, 0.323)
Ga (0.381, 0.259, 0.382)
Ga (0.881, 0.759, 0.118)
Ga (0.570, 0.496, 0.823)
Ga (0.361, 0.658, 0.092)
Ga (0.139, 0.658, 0.592)
Ga (0.639, 0.158, 0.908)
Ga (0.119, 0.259, 0.882)
Cl (0.961, 0.339, 0.210)
Cl (0.125, 0.615, 0.349)
Cl (0.200, 0.308, 0.493)
Cl (0.743, 0.626, 0.742)
Cl (0.027, 0.410, 0.785)
Cl (0.825, 0.429, 0.475)
Cl (0.675, 0.429, 0.975)
Cl (0.047, 0.638, 0.037)
Cl (0.800, 0.808, 0.507)
Cl (0.473, 0.410, 0.285)
Cl (0.757, 0.626, 0.242)
Cl (0.547, 0.138, 0.463)
Cl (0.527, 0.910, 0.715)
Cl (0.039, 0.839, 0.790)
Cl (0.375, 0.615, 0.849)
Cl (0.700, 0.808, 0.007)
Cl (0.257, 0.126, 0.258)
Cl (0.973, 0.910, 0.215)
Cl (0.325, 0.929, 0.025)
Cl (0.953, 0.138, 0.963)
Cl (0.875, 0.115, 0.651)
Cl (0.625, 0.115, 0.151)
Cl (0.243, 0.126, 0.758)
Cl (0.461, 0.839, 0.290)
Cl (0.175, 0.929, 0.525)
Cl (0.453, 0.638, 0.537)
Cl (0.300, 0.308, 0.993)
Cl (0.539, 0.339, 0.710)

---

Entry 3:
DFT (r²SCAN) results for a relaxed GaCl2 crystal.

As for the size of the total moment: 0.00 μB/f.u. The symmetry is No. 52. For the formation enthalpy at 0 K, the calculation gives -1099 meV per atom.

Cell: 7.211 9.577 9.583 Å, 90.00 90.00 90.00°
Fractional coordinates of all 24 atoms:
Ga (0.250, 0.182, 0.000)
Ga (0.750, 0.682, 0.500)
Ga (0.158, 0.750, 0.250)
Ga (0.842, 0.250, 0.750)
Ga (0.750, 0.818, 0.000)
Ga (0.342, 0.750, 0.750)
Ga (0.250, 0.318, 0.500)
Ga (0.658, 0.250, 0.250)
Cl (0.670, 0.554, 0.680)
Cl (0.506, 0.812, 0.459)
Cl (0.330, 0.446, 0.320)
Cl (0.670, 0.946, 0.820)
Cl (0.994, 0.688, 0.959)
Cl (0.330, 0.054, 0.180)
Cl (0.170, 0.446, 0.680)
Cl (0.006, 0.188, 0.459)
Cl (0.830, 0.554, 0.320)
Cl (0.994, 0.812, 0.541)
Cl (0.506, 0.688, 0.041)
Cl (0.170, 0.054, 0.820)
Cl (0.830, 0.946, 0.180)
Cl (0.006, 0.312, 0.041)
Cl (0.494, 0.188, 0.541)
Cl (0.494, 0.312, 0.959)